w) # MgCo4Ag4O8 (PBE+U, optimized geometry)
# total magnetization = 25.7 Bohr magnetons per cell
data_MgCo4Ag4O8
_symmetry_space_group_name_H-M 'C 1 m 1'
_symmetry_Int_Tables_number 8
_cell_length_a 5.319
_cell_length_b 3.031
_cell_length_c 26.710
_cell_angle_alpha 90.00
_cell_angle_beta 91.17
_cell_angle_gamma 90.00
loop_
_symmetry_equiv_pos_as_xyz
'x,y,z'
'x,-y,z'
'x+1/2,y+1/2,z'
'x+1/2,-y+1/2,z'
loop_
_atom_site_label
_atom_site_fract_x
_atom_site_fract_y
_atom_site_fract_z
Mg1 0.000 0.000 0.000
Co1 0.171 0.500 0.321
Co2 0.171 0.500 0.553
Co3 0.334 0.000 0.094
Co4 0.337 0.000 0.787
Ag1 0.003 0.000 0.670
Ag2 0.011 0.000 0.205
Ag3 0.166 0.500 0.908
Ag4 0.334 0.000 0.437
O1 0.003 0.000 0.591
O2 0.003 0.000 0.749
O3 0.005 0.000 0.126
O4 0.020 0.000 0.284
O5 0.168 0.500 0.824
O6 0.172 0.500 0.033
O7 0.322 0.000 0.358
O8 0.338 0.000 0.515

***

x) # MgCo4Ag4O8 (PBE+U, optimized geometry)
# total magnetization = 29.7 Bohr magnetons per cell
data_MgCo4Ag4O8
_symmetry_space_group_name_H-M 'C 1 m 1'
_symmetry_Int_Tables_number 8
_cell_length_a 5.269
_cell_length_b 3.076
_cell_length_c 26.902
_cell_angle_alpha 90.00
_cell_angle_beta 90.51
_cell_angle_gamma 90.00
loop_
_symmetry_equiv_pos_as_xyz
'x,y,z'
'x,-y,z'
'x+1/2,y+1/2,z'
'x+1/2,-y+1/2,z'
loop_
_atom_site_label
_atom_site_fract_x
_atom_site_fract_y
_atom_site_fract_z
Mg1 0.000 0.000 0.000
Co1 0.001 0.000 0.676
Co2 0.005 0.000 0.900
Co3 0.336 0.000 0.444
Co4 0.338 0.000 0.211
Ag1 0.010 0.000 0.328
Ag2 0.169 0.500 0.560
Ag3 0.173 0.500 0.091
Ag4 0.333 0.000 0.791
O1 0.006 0.000 0.406
O2 0.010 0.000 0.249
O3 0.160 0.500 0.174
O4 0.164 0.500 0.966
O5 0.167 0.500 0.482
O6 0.171 0.500 0.638
O7 0.332 0.000 0.713
O8 0.339 0.000 0.870

***

Most stable: w)

***

w) # BaYMgCrCuO5 (PBE+U, optimized geometry)
# total magnetization = 4.0 Bohr magnetons per cell
data_BaYMgCrCuO5
_symmetry_space_group_name_H-M 'P m m 2'
_symmetry_Int_Tables_number 25
_cell_length_a 3.738
_cell_length_b 4.348
_cell_length_c 9.284
_cell_angle_alpha 90.00
_cell_angle_beta 90.00
_cell_angle_gamma 90.00
loop_
_symmetry_equiv_pos_as_xyz
'x,y,z'
'-x,-y,z'
'-x,y,z'
'x,-y,z'
loop_
_atom_site_label
_atom_site_fract_x
_atom_site_fract_y
_atom_site_fract_z
Ba1 0.000 0.000 0.000
Y1 0.000 0.000 0.590
Mg1 0.000 0.500 0.278
Cr1 0.500 0.500 0.789
Cu1 0.500 0.500 0.503
O1 0.000 0.500 0.495
O2 0.000 0.500 0.842
O3 0.500 0.000 0.451
O4 0.500 0.000 0.781
O5 0.500 0.500 0.173

***

x) # BaYMgCrCuO5 (PBE+U, optimized geometry)
# total magnetization = 3.8 Bohr magnetons per cell
data_BaYMgCrCuO5
_symmetry_space_group_name_H-M 'P 1'
_symmetry_Int_Tables_number 1
_cell_length_a 3.956
_cell_length_b 4.022
_cell_length_c 10.028
_cell_angle_alpha 90.05
_cell_angle_beta 98.94
_cell_angle_gamma 90.01
loop_
_symmetry_equiv_pos_as_xyz
'x,y,z'
loop_
_atom_site_label
_atom_site_fract_x
_atom_site_fract_y
_atom_site_fract_z
Ba1 0.000 0.000 0.000
Y1 0.752 0.999 0.638
Mg1 0.606 0.500 0.259
Cr1 0.191 0.499 0.482
Cu1 0.389 0.500 0.803
O1 0.079 0.500 0.191
O2 0.212 0.999 0.528
O3 0.438 0.000 0.836
O4 0.679 0.499 0.455
O5 0.871 0.500 0.749

***

Most stable: x)

***

w) # Ba5V5O14 (PBE+U, optimized geometry)
# total magnetization = 24.0 Bohr magnetons per cell
data_Ba5V5O14
_symmetry_space_group_name_H-M 'C 1 2 1'
_symmetry_Int_Tables_number 5
_cell_length_a 26.295
_cell_length_b 5.894
_cell_length_c 10.180
_cell_angle_alpha 90.00
_cell_angle_beta 112.51
_cell_angle_gamma 90.00
loop_
_symmetry_equiv_pos_as_xyz
'x,y,z'
'-x,y,-z'
'x+1/2,y+1/2,z'
'-x+1/2,y+1/2,-z'
loop_
_atom_site_label
_atom_site_fract_x
_atom_site_fract_y
_atom_site_fract_z
Ba1 0.038 0.000 0.204
Ba2 0.038 0.499 0.705
Ba3 0.134 0.498 0.466
Ba4 0.134 0.998 0.966
Ba5 0.250 0.461 0.251
V1 0.000 0.495 0.000
V2 0.000 0.993 0.500
V3 0.106 0.998 0.605
V4 0.107 0.498 0.107
V5 0.185 0.500 0.852
V6 0.186 0.999 0.353
O1 0.048 0.769 0.470
O2 0.049 0.275 0.970
O3 0.051 0.003 0.702
O4 0.051 0.226 0.476
O5 0.052 0.723 0.978
O6 0.053 0.503 0.204
O7 0.150 0.745 0.733
O8 0.152 0.243 0.233
O9 0.153 0.999 0.486
O10 0.154 0.501 0.988
O11 0.160 0.248 0.742
O12 0.161 0.747 0.243
O13 0.245 0.078 0.074
O14 0.245 0.578 0.571

***

x) # Ba5V5O14 (PBE+U, optimized geometry)
# total magnetization = 7.0 Bohr magnetons per cell
data_Ba5V5O14
_symmetry_space_group_name_H-M 'P -3 m 1'
_symmetry_Int_Tables_number 164
_symmetry_space_group_name_Hall '-P 3 2"'
_cell_length_a 5.8842
_cell_length_b 5.8842
_cell_length_c 12.2845
_cell_angle_alpha 90.00
_cell_angle_beta 90.00
_cell_angle_gamma 120.00
loop_
_atom_site_label
_atom_site_fract_x
_atom_site_fract_y
_atom_site_fract_z
Ba1 0.0000 0.0000 0.0000
Ba2 0.3333 0.6667 0.4329
Ba3 0.3333 0.6667 0.7592
V1 0.0000 0.0000 0.2859
V2 0.0000 0.0000 0.5000
V3 0.3333 0.6667 0.1299
O1 0.1526 0.3051 0.6033
O2 0.1702 0.3403 0.1819
O3 0.3333 0.6667 0.9898

***

Most stable: w)

***

w) # MgW4O12 (PBE+U, optimized geometry)
# total magnetization = 4.0 Bohr magnetons per cell
data_MgW4O12
_symmetry_space_group_name_H-M 'I m -3'
_symmetry_Int_Tables_number 204
_symmetry_space_group_name_Hall '-I 2 2 3'
_cell_length_a 7.694
_cell_length_b 7.694
_cell_length_c 7.694
_cell_angle_alpha 90.00
_cell_angle_beta 90.00
_cell_angle_gamma 90.00
loop_
_atom_site_label
_atom_site_fract_x
_atom_site_fract_y
_atom_site_fract_z
Mg1 0.000 0.000 0.000
W1 0.250 0.250 0.250
O1 0.000 0.213 0.270

***

x) # MgW4O12 (PBE+U, optimized geometry)
# total magnetization = 2.0 Bohr magnetons per cell
data_MgW4O12
_symmetry_space_group_name_H-M 'P -4'
_symmetry_Int_Tables_number 81
_cell_length_a 5.374
_cell_length_b 5.374
_cell_length_c 7.837
_cell_angle_alpha 90.00
_cell_angle_beta 90.00
_cell_angle_gamma 90.00
loop_
_symmetry_equiv_pos_as_xyz
'x,y,z'
'y,-x,-z'
'-x,-y,z'
'-y,x,-z'
loop_
_atom_site_label
_atom_site_fract_x
_atom_site_fract_y
_atom_site_fract_z
Mg1 0.000 0.000 0.000
W1 0.000 0.500 0.256
W2 0.000 0.500 0.752
O1 0.000 0.500 0.004
O2 0.000 0.500 0.492
O3 0.173 0.815 0.224
O4 0.303 0.692 0.747

***

Most stable: x)